Entry 1:
The following is a meta-GGA r2SCAN calculation of crystalline La2Al2I at its relaxed geometry, from Materials Project.

abc: 4.396 4.396 17.782
angles: 90.00 90.00 120.00
Sites, in units of the cell vectors:
Al 0.333 0.667 0.993
Al 0.667 0.333 0.493
Al 0.667 0.333 0.007
Al 0.333 0.667 0.507
La 0.000 0.000 0.382
La 0.000 0.000 0.882
La 0.000 0.000 0.118
La 0.000 0.000 0.618
I 0.667 0.333 0.750
I 0.333 0.667 0.250

=====

Entry 2:
The following is a meta-GGA r2SCAN calculation of crystalline DyCu2Ge2 at its relaxed geometry, from Materials Project.

abc: 4.018 4.018 5.865
angles: 110.03 110.03 90.00
Sites, in units of the cell vectors:
Ge 0.381 0.381 0.762
Ge 0.619 0.619 0.238
Dy 0.000 0.000 0.000
Cu 0.250 0.750 0.500
Cu 0.750 0.250 0.500

=====

Entry 3:
The following is a meta-GGA r2SCAN calculation of crystalline DyAu at its relaxed geometry, from Materials Project.

abc: 3.571 3.571 3.571
angles: 90.00 90.00 90.00
Sites, in units of the cell vectors:
Dy 0.500 0.500 0.500
Au 0.000 0.000 0.000

=====

Entry 4:
The following is a meta-GGA r2SCAN calculation of crystalline Ba4Pb3O10 at its relaxed geometry, from Materials Project.

abc: 4.318 4.319 15.567
angles: 97.98 97.99 90.00
Sites, in units of the cell vectors:
Ba 0.575 0.572 0.138
Ba 0.302 0.300 0.595
Ba 0.708 0.706 0.405
Ba 0.436 0.434 0.862
Pb 0.863 0.861 0.718
Pb 0.147 0.145 0.282
Pb 0.005 0.003 0.000
O 0.076 0.075 0.141
O 0.934 0.933 0.859
O 0.646 0.144 0.280
O 0.218 0.215 0.424
O 0.505 0.003 0.000
O 0.146 0.643 0.280
O 0.792 0.790 0.576
O 0.365 0.862 0.720
O 0.864 0.363 0.720
O 0.006 0.503 0.000

=====

Entry 5:
The following is a meta-GGA r2SCAN calculation of crystalline K2TcH9 at its relaxed geometry, from Materials Project.

abc: 9.503 9.503 5.530
angles: 90.00 90.00 120.00
Sites, in units of the cell vectors:
K 0.000 0.591 0.000
K 0.262 0.000 0.500
K 0.000 0.262 0.500
K 0.591 0.000 0.000
K 0.409 0.409 0.000
K 0.738 0.738 0.500
H 0.692 0.468 0.282
H 0.826 0.826 0.000
H 0.775 0.308 0.282
H 0.368 0.513 0.500
H 0.126 0.126 0.788
H 0.144 0.632 0.500
H 0.174 0.000 0.000
H 0.000 0.874 0.788
H 0.000 0.874 0.212
H 0.874 0.000 0.788
H 0.308 0.775 0.282
H 0.692 0.468 0.718
H 0.468 0.692 0.718
H 0.775 0.308 0.718
H 0.632 0.144 0.500
H 0.126 0.126 0.212
H 0.856 0.487 0.500
H 0.874 0.000 0.212
H 0.487 0.856 0.500
H 0.532 0.225 0.718
H 0.225 0.532 0.718
H 0.308 0.775 0.718
H 0.513 0.368 0.500
H 0.000 0.174 0.000
H 0.225 0.532 0.282
H 0.468 0.692 0.282
H 0.532 0.225 0.282
Tc 0.333 0.667 0.500
Tc 0.667 0.333 0.500
Tc 0.000 0.000 0.000

=====

Entry 6:
The following is a meta-GGA r2SCAN calculation of crystalline Ge3Mo5 at its relaxed geometry, from Materials Project.

abc: 4.964 7.393 7.393
angles: 83.53 70.38 70.38
Sites, in units of the cell vectors:
Ge 0.168 0.500 0.164
Ge 0.332 0.836 0.500
Ge 0.250 0.000 0.000
Ge 0.832 0.500 0.836
Ge 0.668 0.164 0.500
Ge 0.750 0.000 0.000
Mo 0.577 0.693 0.152
Mo 0.423 0.307 0.848
Mo 0.250 0.500 0.500
Mo 0.230 0.693 0.848
Mo 0.750 0.500 0.500
Mo 0.077 0.152 0.693
Mo 0.730 0.848 0.693
Mo 0.923 0.848 0.307
Mo 0.270 0.152 0.307
Mo 0.770 0.307 0.152

=====

| no. | E_form (eV per atom) |
| --- | --- |
| 1 | -0.94 |
| 2 | -0.55 |
| 3 | -0.95 |
| 4 | -2.00 |
| 5 | -0.28 |
| 6 | -0.11 |